## Na5Cr2PC4O16 (PBE with a Hubbard U)

Data for Na5Cr2PC4O16 after structural relaxation.

Computed properties:
Its total energy is -6.8612 eV per atom. As for the formation energy: -205.7 kJ per mole of atoms. As for the total moment: 6.0 μB/f.u. The calculation puts the corrected total energy (MP2020 scheme) at -414.21 eV per cell.

Cell lengths 9.8724, 9.8724, 9.7587 Å; angles 60.46, 60.46, 90.80 degrees
Closest atoms and distances in Å follow each position.
Fractional positions:
Na 0.0826 0.3377 0.3430  3 O 2.24-2.51
Na 0.3375 0.0827 0.2367  3 O 2.24-2.48
Na 0.3377 0.0826 0.8430  3 O 2.24-2.51
Na 0.0762 0.9238 0.7500  6 O 2.32-2.57
Na 0.0827 0.3375 0.7367  3 O 2.24-2.48
Na 0.9238 0.0762 0.2500  6 O 2.32-2.57
Na 0.9173 0.6625 0.2633  3 O 2.24-2.48
Na 0.6623 0.9174 0.1570  3 O 2.24-2.51
Na 0.6625 0.9173 0.7633  3 O 2.24-2.48
Na 0.9174 0.6623 0.6570  3 O 2.24-2.51
Cr 0.5000 0.0000 0.5000  6 O 2.04-2.05
Cr 0.5000 0.5000 0.0000  6 O 2.02-2.04
Cr 0.5000 0.5000 0.5000  6 O 2.02-2.04
Cr 0.0000 0.5000 0.0000  6 O 2.04-2.05
P 0.8725 0.1275 0.7500  4 O 1.54-1.58
P 0.1275 0.8725 0.2500  4 O 1.54-1.58
C 0.2886 0.7129 0.9255  3 O 1.28-1.31
C 0.2846 0.3612 0.9269  3 O 1.29-1.31
C 0.6388 0.7154 0.5731  3 O 1.29-1.31
C 0.2871 0.7114 0.5745  3 O 1.28-1.31
C 0.3612 0.2846 0.4269  3 O 1.29-1.31
C 0.7129 0.2886 0.4255  3 O 1.28-1.31
C 0.7154 0.6388 0.0731  3 O 1.29-1.31
C 0.7114 0.2871 0.0745  3 O 1.28-1.31
O 0.3564 0.1395 0.4571  1 C 1.31
O 0.3087 0.3583 0.0476  1 C 1.30
O 0.1432 0.5983 0.0457  1 C 1.30
O 0.5934 0.3130 0.0547  1 C 1.28
O 0.1395 0.3564 0.9571  1 C 1.31
O 0.6814 0.0565 0.8814  1 P 1.54
O 0.9389 0.0619 0.8802  1 P 1.58
O 0.3985 0.3599 0.7858  1 C 1.29
O 0.3116 0.8579 0.7868  1 C 1.31
O 0.6401 0.6015 0.7142  1 C 1.29
O 0.1421 0.6884 0.7132  1 C 1.31
O 0.9381 0.0611 0.6198  1 P 1.58
O 0.9435 0.3186 0.6186  1 P 1.54
O 0.3583 0.3087 0.5476  1 C 1.30
O 0.5983 0.1432 0.5457  1 C 1.30
O 0.3130 0.5934 0.5547  1 C 1.28
O 0.6870 0.4066 0.4453  1 C 1.28
O 0.4017 0.8568 0.4543  1 C 1.30
O 0.6417 0.6913 0.4524  1 C 1.30
O 0.0619 0.9389 0.3802  1 P 1.58
O 0.0565 0.6814 0.3814  1 P 1.54
O 0.8579 0.3116 0.2868  1 C 1.31
O 0.3599 0.3985 0.2858  1 C 1.29
O 0.6884 0.1421 0.2132  1 C 1.31
O 0.6015 0.6401 0.2142  1 C 1.29
O 0.0611 0.9381 0.1198  1 P 1.58
O 0.3186 0.9435 0.1186  1 P 1.54
O 0.8605 0.6436 0.0429  1 C 1.31
O 0.4066 0.6870 0.9453  1 C 1.28
O 0.6913 0.6417 0.9524  1 C 1.30
O 0.8568 0.4017 0.9543  1 C 1.30
O 0.6436 0.8605 0.5429  1 C 1.31


## MgCr3S6O24 (PBE with a Hubbard U)

Data for MgCr3S6O24 after structural relaxation.

Computed properties:
Its total energy is -6.3757 eV per atom. The energy above the most stable polymorph in this dataset comes out at 114 meV per atom. As for the formation energy: -184.8 kJ per mole of atoms. As for the total moment: 8.0 μB/f.u. The calculation puts the corrected total energy (MP2020 scheme) at -239.26 eV per cell.

Cell lengths 8.6895, 8.6599, 8.6727 Å; angles 58.36, 58.39, 58.35 degrees
Closest atoms and distances in Å follow each position.
Fractional positions:
Mg 0.4914 0.5137 0.4917  6 O 2.22-2.44
Cr 0.3531 0.3528 0.3526  6 O 1.98-2.07
Cr 0.6457 0.6443 0.6462  6 O 1.96-2.04
Cr 0.8572 0.8567 0.8568  6 O 1.98-2.00
S 0.0404 0.7437 0.4748  4 O 1.43-1.55
S 0.4761 0.0426 0.7410  4 O 1.43-1.54
S 0.7419 0.4755 0.0428  4 O 1.43-1.55
S 0.2509 0.5294 0.9545  4 O 1.43-1.56
S 0.5309 0.9536 0.2503  4 O 1.43-1.57
S 0.9558 0.2508 0.5316  4 O 1.44-1.56
O 0.1005 0.3153 0.5030  1 S 1.49
O 0.3168 0.5009 0.0982  1 S 1.49
O 0.0119 0.9322 0.3317  1 S 1.43
O 0.5006 0.0974 0.3174  1 S 1.49
O 0.0302 0.7285 0.6602  1 S 1.50
O 0.2461 0.6001 0.4114  1 S 1.55
O 0.4129 0.2475 0.5982  1 S 1.54
O 0.3331 0.0120 0.9294  1 S 1.43
O 0.5972 0.4145 0.2477  1 S 1.55
O 0.0643 0.6932 0.9740  1 S 1.49
O 0.2465 0.3588 0.9693  1 S 1.43
O 0.3621 0.9656 0.2461  1 S 1.43
O 0.6608 0.0298 0.7283  1 S 1.50
O 0.7298 0.6600 0.0315  1 S 1.50
O 0.9286 0.3302 0.0149  1 S 1.43
O 0.3950 0.6010 0.7487  1 S 1.56
O 0.6948 0.9739 0.0643  1 S 1.49
O 0.6021 0.7468 0.3952  1 S 1.57
O 0.7516 0.3934 0.6053  1 S 1.56
O 0.9686 0.2486 0.3610  1 S 1.44
O 0.5170 0.9061 0.6573  1 S 1.50
O 0.9764 0.0623 0.6936  1 S 1.49
O 0.6563 0.5200 0.9069  1 S 1.49
O 0.9058 0.6583 0.5166  1 S 1.49


## SrCr10O15 (PBE with a Hubbard U)

Data for SrCr10O15 after structural relaxation.

Computed properties:
Its total energy is -7.7834 eV per atom. As for the formation energy: -223.5 kJ per mole of atoms. As for the total moment: 32.0 μB/f.u. The calculation puts the corrected total energy (MP2020 scheme) at -465.33 eV per cell.

Cell lengths 7.8386, 7.8386, 9.5436 Å; angles 90.00, 90.00, 96.27 degrees
Closest atoms and distances in Å follow each position.
Fractional positions:
Sr 0.5000 0.5000 0.5000  2 O 2.64
Sr 0.0000 0.0000 0.0000  2 O 2.64
Cr 0.8149 0.8149 0.6341  5 O 2.06-2.09
Cr 0.6851 0.6851 0.1341  5 O 2.06-2.09
Cr 0.3149 0.3149 0.8659  5 O 2.06-2.09
Cr 0.1851 0.1851 0.3659  5 O 2.06-2.09
Cr 0.7901 0.0441 0.3544  6 O 1.98-2.21
Cr 0.7099 0.4559 0.8544  6 O 1.98-2.21
Cr 0.5441 0.2901 0.1456  6 O 1.98-2.21
Cr 0.9559 0.2099 0.6456  6 O 1.98-2.21
Cr 0.2099 0.9559 0.6456  6 O 1.98-2.21
Cr 0.2901 0.5441 0.1456  6 O 1.98-2.21
Cr 0.4559 0.7099 0.8544  6 O 1.98-2.21
Cr 0.0441 0.7901 0.3544  6 O 1.98-2.21
Cr 0.9188 0.4063 0.1141  6 O 2.00-2.06
Cr 0.5812 0.0937 0.6141  6 O 2.00-2.06
Cr 0.9063 0.4188 0.3859  6 O 2.00-2.06
Cr 0.5937 0.0812 0.8859  6 O 2.00-2.06
Cr 0.0812 0.5937 0.8859  6 O 2.00-2.06
Cr 0.4188 0.9063 0.3859  6 O 2.00-2.06
Cr 0.0937 0.5812 0.6141  6 O 2.00-2.06
Cr 0.4063 0.9188 0.1141  6 O 2.00-2.06
O 0.0000 0.0000 0.5000  6 Cr 2.21-2.32
O 0.5000 0.5000 0.0000  6 Cr 2.21-2.32
O 0.7542 0.2458 0.5000  4 Cr 2.02-2.15
O 0.7458 0.2542 0.0000  4 Cr 2.02-2.15
O 0.2458 0.7542 0.5000  4 Cr 2.02-2.15
O 0.2542 0.7458 0.0000  4 Cr 2.02-2.15
O 0.6384 0.6384 0.7309  3 Cr 1.98-2.06
O 0.8616 0.8616 0.2309  3 Cr 1.98-2.06
O 0.1384 0.1384 0.7691  3 Cr 1.98-2.06
O 0.3616 0.3616 0.2691  3 Cr 1.98-2.06
O 0.0649 0.5649 0.2500  4 Cr 2.05-2.06
O 0.4351 0.9351 0.7500  4 Cr 2.05-2.06
O 0.9351 0.4351 0.7500  4 Cr 2.05-2.06
O 0.5649 0.0649 0.2500  4 Cr 2.05-2.06
O 0.4607 0.7230 0.2415  4 Cr 2.04-2.09
O 0.0393 0.7770 0.7415  4 Cr 2.04-2.09
O 0.2230 0.9607 0.2585  4 Cr 2.04-2.09
O 0.2770 0.5393 0.7585  4 Cr 2.04-2.09
O 0.5393 0.2770 0.7585  4 Cr 2.04-2.09
O 0.9607 0.2230 0.2585  4 Cr 2.04-2.09
O 0.7770 0.0393 0.7415  4 Cr 2.04-2.09
O 0.7230 0.4607 0.2415  4 Cr 2.04-2.09
O 0.3632 0.1039 0.5071  4 Cr 2.00-2.09
O 0.1368 0.3961 0.0071  4 Cr 2.00-2.09
O 0.6039 0.8632 0.9929  4 Cr 2.00-2.09
O 0.8961 0.6368 0.4929  4 Cr 2.00-2.09
O 0.6368 0.8961 0.4929  4 Cr 2.00-2.09
O 0.8632 0.6039 0.9929  4 Cr 2.00-2.09
O 0.3961 0.1368 0.0071  4 Cr 2.00-2.09
O 0.1039 0.3632 0.5071  4 Cr 2.00-2.09


## Mn5Fe4O12 (PBE with a Hubbard U)

Data for Mn5Fe4O12 after structural relaxation.

Computed properties:
Its total energy is -7.2608 eV per atom. The energy above the most stable polymorph in this dataset comes out at 0 meV per atom. As for the formation energy: -179.3 kJ per mole of atoms. As for the total moment: 43.0 μB/f.u. The calculation puts the corrected total energy (MP2020 scheme) at -356.17 eV per cell.

Cell lengths 6.0773, 6.1711, 15.0488 Å; angles 91.40, 90.35, 119.00 degrees
Closest atoms and distances in Å follow each position.
Fractional positions:
Mn 0.9976 0.0020 0.8735  4 O 2.07-2.11
Mn 0.6660 0.3384 0.5412  4 O 2.06-2.10
Mn 0.3319 0.6702 0.2094  4 O 2.06-2.10
Mn 0.6681 0.3298 0.7906  4 O 2.06-2.10
Mn 0.3340 0.6616 0.4588  4 O 2.06-2.10
Mn 0.0024 0.9980 0.1265  4 O 2.07-2.11
Mn 0.6666 0.8335 0.6661  4 O 1.99-2.02
Mn 0.3334 0.1665 0.3339  4 O 1.99-2.02
Mn 0.0000 0.5000 0.0000  4 O 1.96-2.01
Mn 0.5000 0.0000 0.0000  4 O 1.97-2.03
Fe 0.1668 0.3335 0.6656  6 O 2.01-2.09
Fe 0.8332 0.6665 0.3344  6 O 2.01-2.09
Fe 0.3318 0.6635 0.8326  6 O 2.02-2.11
Fe 0.0000 0.0000 0.5000  6 O 2.02-2.09
Fe 0.6682 0.3365 0.1674  6 O 2.02-2.11
Fe 0.1677 0.8340 0.6660  6 O 2.06-2.07
Fe 0.8323 0.1660 0.3340  6 O 2.06-2.07
Fe 0.5000 0.5000 0.0000  6 O 2.04-2.08
O 0.7922 0.1571 0.0826  2 Mn 1.97-2.07, 1 Fe 2.04
O 0.4680 0.4995 0.7487  2 Fe 2.01-2.02, 2 Mn 2.06-2.23
O 0.1351 0.8325 0.4171  2 Fe 2.01-2.02, 2 Mn 2.06-2.24
O 0.9965 0.0035 0.7347  2 Mn 2.02-2.09, 2 Fe 2.06-2.09
O 0.6626 0.3365 0.4027  2 Mn 2.02-2.08, 2 Fe 2.06-2.09
O 0.3127 0.6409 0.0716  2 Mn 1.96-2.07, 1 Fe 2.04
O 0.1793 0.3738 0.9194  2 Mn 2.01-2.10, 2 Fe 2.07-2.08
O 0.8458 0.7083 0.5880  2 Mn 1.99-2.10, 2 Fe 2.07-2.09
O 0.5120 0.0415 0.2555  2 Mn 1.99-2.10, 2 Fe 2.06-2.11
O 0.3691 0.1867 0.0766  2 Mn 2.03-2.11, 2 Fe 2.07-2.08
O 0.0348 0.5252 0.7426  3 Fe 2.06, 1 Mn 2.10
O 0.7000 0.8573 0.4109  3 Fe 2.06, 1 Mn 2.09
O 0.8649 0.1675 0.5829  2 Fe 2.01-2.02, 2 Mn 2.06-2.24
O 0.5320 0.5005 0.2513  2 Fe 2.01-2.02, 2 Mn 2.06-2.23
O 0.2078 0.8429 0.9174  2 Mn 1.97-2.07, 1 Fe 2.04
O 0.6873 0.3591 0.9284  2 Mn 1.96-2.07, 1 Fe 2.04
O 0.3374 0.6635 0.5973  2 Mn 2.02-2.08, 2 Fe 2.06-2.09
O 0.0035 0.9965 0.2653  2 Mn 2.02-2.09, 2 Fe 2.06-2.09
O 0.4880 0.9585 0.7445  2 Mn 1.99-2.10, 2 Fe 2.06-2.11
O 0.1542 0.2917 0.4120  2 Mn 1.99-2.10, 2 Fe 2.07-2.09
O 0.8207 0.6262 0.0806  2 Mn 2.01-2.10, 2 Fe 2.07-2.08
O 0.3000 0.1427 0.5891  3 Fe 2.06, 1 Mn 2.09
O 0.9652 0.4748 0.2574  3 Fe 2.06, 1 Mn 2.10
O 0.6309 0.8133 0.9234  2 Mn 2.03-2.11, 2 Fe 2.07-2.08


## La4V5Si4O22 (PBE with a Hubbard U)

Data for La4V5Si4O22 after structural relaxation.

Computed properties:
Its total energy is -8.1554 eV per atom. As for the formation energy: -312.4 kJ per mole of atoms. As for the total moment: 5.0 μB/f.u. The calculation puts the corrected total energy (MP2020 scheme) at -309.05 eV per cell.

Cell lengths 5.7308, 7.3919, 11.2363 Å; angles 99.77, 90.00, 112.81 degrees
Closest atoms and distances in Å follow each position.
Fractional positions:
La 0.9272 0.8544 0.7522  8 O 2.48-2.76
La 0.0728 0.1456 0.2478  8 O 2.48-2.76
La 0.6435 0.2870 0.7573  8 O 2.48-2.74
La 0.3565 0.7130 0.2427  8 O 2.48-2.74
V 0.5000 0.0000 0.0000  6 O 1.98-2.12
V 0.5000 0.5000 0.5000  6 O 2.00-2.08
V 0.5000 0.0000 0.5000  6 O 2.02-2.06
V 0.0000 0.0000 0.5000  6 O 1.99-2.01
V 0.0000 0.5000 0.5000  6 O 2.00-2.08
Si 0.1382 0.2765 0.9570  4 O 1.61-1.66
Si 0.8618 0.7235 0.0430  4 O 1.61-1.66
Si 0.2958 0.5916 0.7705  4 O 1.61-1.64
Si 0.7042 0.4084 0.2295  4 O 1.61-1.64
O 0.2176 0.4352 0.8636  2 Si 1.63-1.64
O 0.7824 0.5648 0.1364  2 Si 1.63-1.64
O 0.6950 0.8601 0.0860  1 Si 1.66
O 0.8349 0.1399 0.9140  1 Si 1.66
O 0.3050 0.1399 0.9140  1 Si 1.66
O 0.1651 0.8601 0.0860  1 Si 1.66
O 0.8111 0.6222 0.9021  1 Si 1.61
O 0.1889 0.3778 0.0979  1 Si 1.61
O 0.4107 0.8215 0.8395  1 Si 1.61
O 0.5893 0.1785 0.1605  1 Si 1.61
O 0.4886 0.4513 0.3117  1 Si 1.64
O 0.0372 0.5487 0.6883  1 Si 1.64
O 0.5114 0.5487 0.6883  1 Si 1.64
O 0.3497 0.6994 0.4852  3 V 2.00-2.02
O 0.6503 0.3006 0.5148  3 V 2.00-2.02
O 0.1426 0.2852 0.4754  3 V 2.01-2.03
O 0.8574 0.7148 0.5246  3 V 2.01-2.03
O 0.9628 0.4513 0.3117  1 Si 1.64
O 0.7818 0.0447 0.6294  2 V 1.99-2.06
O 0.2629 0.0447 0.6294  2 V 1.99-2.06
O 0.2182 0.9553 0.3706  2 V 1.99-2.06
O 0.7371 0.9553 0.3706  2 V 1.99-2.06


## Mo3NO9 (PBE with a Hubbard U)

Data for Mo3NO9 after structural relaxation.

Computed properties:
Its total energy is -6.7666 eV per atom. The energy above the most stable polymorph in this dataset comes out at 311 meV per atom. As for the formation energy: -136.2 kJ per mole of atoms. As for the total moment: 0.0 μB/f.u. The calculation puts the corrected total energy (MP2020 scheme) at -207.51 eV per cell.

Cell lengths 3.6387, 11.1671, 11.1671 Å; angles 120.00, 90.00, 90.00 degrees
Closest atoms and distances in Å follow each position.
Fractional positions:
Mo 0.7500 0.8908 0.3510  2 O 1.70-1.75
Mo 0.2500 0.1092 0.6490  2 O 1.70-1.75
Mo 0.7500 0.4602 0.1092  2 O 1.70-1.75
Mo 0.2500 0.5398 0.8908  2 O 1.70-1.75
Mo 0.7500 0.6490 0.5398  2 O 1.70-1.75
Mo 0.2500 0.3510 0.4602  2 O 1.70-1.75
N 0.7500 0.0000 0.0000  2 N 1.82
N 0.2500 0.0000 0.0000  2 N 1.82
O 0.7500 0.7186 0.2177  1 Mo 1.75
O 0.2500 0.2814 0.7823  1 Mo 1.75
O 0.7500 0.4992 0.2814  1 Mo 1.75
O 0.2500 0.5008 0.7186  1 Mo 1.75
O 0.7500 0.7823 0.5008  1 Mo 1.75
O 0.2500 0.2177 0.4992  1 Mo 1.75
O 0.7500 0.4249 0.5027  2 Mo 1.96
O 0.2500 0.5751 0.4973  2 Mo 1.96
O 0.7500 0.0778 0.5751  2 Mo 1.96
O 0.2500 0.9222 0.4249  2 Mo 1.96
O 0.7500 0.4973 0.9222  2 Mo 1.96
O 0.2500 0.5027 0.0778  2 Mo 1.96
O 0.7500 0.9838 0.2681  1 Mo 1.70
O 0.2500 0.0162 0.7319  1 Mo 1.70
O 0.7500 0.2842 0.0162  1 Mo 1.70
O 0.2500 0.7158 0.9838  1 Mo 1.70
O 0.7500 0.7319 0.7158  1 Mo 1.70
O 0.2500 0.2681 0.2842  1 Mo 1.70